No. 1
First-principles (PBE-GGA) data for a relaxed structure of CaU2P2O18, as listed in Materials Project.

Structure (POSCAR):
```
CaU2P2O18
1.0
6.965 0.000 0.000
0.000 7.021 0.000
0.000 0.000 8.194
Ca U P O
1 2 2 18
Direct
0.000 0.000 0.000
0.000 0.000 0.500
0.500 0.500 0.724
0.000 0.500 0.612
0.500 0.000 0.617
0.000 0.000 0.267
0.000 0.000 0.733
0.000 0.318 0.503
0.000 0.413 0.056
0.000 0.587 0.056
0.000 0.682 0.503
0.176 0.500 0.726
0.317 0.000 0.506
0.404 0.000 0.105
0.500 0.177 0.729
0.500 0.229 0.151
0.500 0.500 0.504
0.500 0.500 0.948
0.500 0.771 0.151
0.500 0.823 0.729
0.596 0.000 0.105
0.683 0.000 0.506
0.824 0.500 0.726
```

Output
relative energy among the computed polymorphs	0	meV per atom
space group	Pmm2, No. 25
total moment	0.174	μB per atom
total energy	-163.80	eV for the cell shown
energy of formation	-1836	meV per atom
calculated volume	17.42	Å³ per atom

***

No. 2
First-principles (PBE-GGA) data for a relaxed structure of Na2P2H14O13, as listed in Materials Project.

Structure (POSCAR):
```
Na2P2H14O13
1.0
7.075 -3.508 0.000
7.075 3.508 0.000
-6.289 0.000 11.979
Na P H O
4 4 28 26
Direct
0.118 0.355 0.231
0.355 0.118 0.731
0.645 0.882 0.269
0.882 0.645 0.769
0.356 0.644 0.640
0.356 0.644 0.860
0.644 0.356 0.140
0.644 0.356 0.360
0.030 0.969 0.114
0.031 0.970 0.386
0.036 0.286 0.875
0.052 0.594 0.442
0.122 0.763 0.019
0.160 0.414 0.602
0.210 0.354 0.932
0.237 0.878 0.481
0.286 0.036 0.375
0.305 0.643 0.348
0.354 0.210 0.432
0.357 0.695 0.152
0.406 0.948 0.058
0.414 0.160 0.102
0.586 0.840 0.898
0.594 0.052 0.942
0.643 0.305 0.848
0.646 0.790 0.568
0.695 0.357 0.652
0.714 0.964 0.625
0.763 0.122 0.519
0.790 0.646 0.068
0.840 0.586 0.398
0.878 0.237 0.981
0.948 0.406 0.558
0.964 0.714 0.125
0.969 0.030 0.614
0.970 0.031 0.886
0.077 0.381 0.622
0.106 0.340 0.861
0.114 0.807 0.099
0.147 0.736 0.892
0.193 0.886 0.401
0.264 0.853 0.608
0.265 0.735 0.750
0.288 0.485 0.554
0.340 0.106 0.361
0.381 0.077 0.122
0.386 0.475 0.317
0.475 0.386 0.817
0.485 0.288 0.054
0.515 0.712 0.946
0.525 0.614 0.183
0.614 0.525 0.683
0.619 0.923 0.878
0.660 0.894 0.639
0.712 0.515 0.446
0.735 0.265 0.250
0.736 0.147 0.392
0.807 0.114 0.599
0.853 0.264 0.108
0.886 0.193 0.901
0.894 0.660 0.139
0.923 0.619 0.378
```

Output
space group	C2/c, No. 15
total moment	0.000	μB per atom
total energy	-338.88	eV for the cell shown
energy of formation	-1712	meV per atom
calculated volume	9.59	Å³ per atom

***

No. 3
First-principles (PBE-GGA) data for a relaxed structure of La2AlNi9H2, as listed in Materials Project.

Structure (POSCAR):
```
La2AlNi9H2
1.0
5.030 0.000 0.000
2.422 4.436 0.000
0.138 0.090 8.110
La Al Ni H
2 1 9 2
Direct
0.000 0.000 0.000
0.008 0.010 0.524
0.507 0.509 0.268
0.001 0.508 0.765
0.332 0.349 0.516
0.334 0.353 0.015
0.496 0.521 0.764
0.498 0.999 0.766
0.518 0.003 0.269
0.668 0.665 0.016
0.674 0.677 0.515
0.997 0.527 0.270
0.210 0.222 0.170
0.693 0.167 0.764
```

Output
space group	P1, No. 1
total moment	0.005	μB per atom
total energy	-77.10	eV for the cell shown
energy of formation	-359	meV per atom
calculated volume	12.93	Å³ per atom

***

No. 4
First-principles (PBE-GGA) data for a relaxed structure of InHg6As4Cl7, as listed in Materials Project.

Structure (POSCAR):
```
InHg6As4Cl7
1.0
12.441 0.000 0.000
0.000 12.441 0.000
0.000 0.000 12.441
In Hg As Cl
4 24 16 28
Direct
0.000 0.000 0.000
0.000 0.500 0.500
0.500 0.000 0.500
0.500 0.500 0.000
0.046 0.187 0.699
0.046 0.313 0.199
0.187 0.699 0.046
0.187 0.801 0.546
0.199 0.046 0.313
0.199 0.454 0.813
0.301 0.546 0.313
0.301 0.954 0.813
0.313 0.199 0.046
0.313 0.301 0.546
0.454 0.687 0.699
0.454 0.813 0.199
0.546 0.187 0.801
0.546 0.313 0.301
0.687 0.699 0.454
0.687 0.801 0.954
0.699 0.046 0.187
0.699 0.454 0.687
0.801 0.546 0.187
0.801 0.954 0.687
0.813 0.199 0.454
0.813 0.301 0.954
0.954 0.687 0.801
0.954 0.813 0.301
0.151 0.651 0.849
0.151 0.849 0.349
0.234 0.234 0.234
0.234 0.266 0.734
0.266 0.734 0.234
0.266 0.766 0.734
0.349 0.151 0.849
0.349 0.349 0.349
0.651 0.651 0.651
0.651 0.849 0.151
0.734 0.234 0.266
0.734 0.266 0.766
0.766 0.734 0.266
0.766 0.766 0.766
0.849 0.151 0.651
0.849 0.349 0.151
0.000 0.000 0.500
0.000 0.500 0.000
0.040 0.546 0.304
0.040 0.954 0.804
0.046 0.196 0.960
0.046 0.304 0.460
0.196 0.540 0.546
0.196 0.960 0.046
0.304 0.040 0.546
0.304 0.460 0.046
0.454 0.696 0.960
0.454 0.804 0.460
0.460 0.046 0.304
0.460 0.454 0.804
0.500 0.000 0.000
0.500 0.500 0.500
0.540 0.546 0.196
0.540 0.954 0.696
0.546 0.196 0.540
0.546 0.304 0.040
0.696 0.540 0.954
0.696 0.960 0.454
0.804 0.040 0.954
0.804 0.460 0.454
0.954 0.696 0.540
0.954 0.804 0.040
0.960 0.046 0.196
0.960 0.454 0.696
```

Output
space group	Pa-3, No. 205
total moment	0.000	μB per atom
total energy	-180.74	eV for the cell shown
energy of formation	-741	meV per atom
calculated volume	26.75	Å³ per atom

***

What did the fourth record say?
First-principles (PBE-GGA) data for a relaxed structure of InHg6As4Cl7, as listed in Materials Project.

Structure (POSCAR):
```
InHg6As4Cl7
1.0
12.441 0.000 0.000
0.000 12.441 0.000
0.000 0.000 12.441
In Hg As Cl
4 24 16 28
Direct
0.000 0.000 0.000
0.000 0.500 0.500
0.500 0.000 0.500
0.500 0.500 0.000
0.046 0.187 0.699
0.046 0.313 0.199
0.187 0.699 0.046
0.187 0.801 0.546
0.199 0.046 0.313
0.199 0.454 0.813
0.301 0.546 0.313
0.301 0.954 0.813
0.313 0.199 0.046
0.313 0.301 0.546
0.454 0.687 0.699
0.454 0.813 0.199
0.546 0.187 0.801
0.546 0.313 0.301
0.687 0.699 0.454
0.687 0.801 0.954
0.699 0.046 0.187
0.699 0.454 0.687
0.801 0.546 0.187
0.801 0.954 0.687
0.813 0.199 0.454
0.813 0.301 0.954
0.954 0.687 0.801
0.954 0.813 0.301
0.151 0.651 0.849
0.151 0.849 0.349
0.234 0.234 0.234
0.234 0.266 0.734
0.266 0.734 0.234
0.266 0.766 0.734
0.349 0.151 0.849
0.349 0.349 0.349
0.651 0.651 0.651
0.651 0.849 0.151
0.734 0.234 0.266
0.734 0.266 0.766
0.766 0.734 0.266
0.766 0.766 0.766
0.849 0.151 0.651
0.849 0.349 0.151
0.000 0.000 0.500
0.000 0.500 0.000
0.040 0.546 0.304
0.040 0.954 0.804
0.046 0.196 0.960
0.046 0.304 0.460
0.196 0.540 0.546
0.196 0.960 0.046
0.304 0.040 0.546
0.304 0.460 0.046
0.454 0.696 0.960
0.454 0.804 0.460
0.460 0.046 0.304
0.460 0.454 0.804
0.500 0.000 0.000
0.500 0.500 0.500
0.540 0.546 0.196
0.540 0.954 0.696
0.546 0.196 0.540
0.546 0.304 0.040
0.696 0.540 0.954
0.696 0.960 0.454
0.804 0.040 0.954
0.804 0.460 0.454
0.954 0.696 0.540
0.954 0.804 0.040
0.960 0.046 0.196
0.960 0.454 0.696
```

Output
space group	Pa-3, No. 205
total moment	0.000	μB per atom
total energy	-180.74	eV for the cell shown
energy of formation	-741	meV per atom
calculated volume	26.75	Å³ per atom